Computed, not measured: Er2Al4CoGe2 after structural relaxation at the PBE level of DFT.

Results
**SG**: I4/mmm (139)

Cell lengths 10.137, 10.137, 10.137 Å; angles 156.61, 156.61, 33.32 degrees
Positions (direct):
1 Al 0.434 0.934 0.500
2 Al 0.566 0.066 0.500
3 Al 0.934 0.434 0.500
4 Al 0.066 0.566 0.500
5 Co 0.000 0.000 0.000
6 Ge 0.664 0.664 0.000
7 Ge 0.336 0.336 0.000
8 Er 0.185 0.185 0.000
9 Er 0.815 0.815 0.000

---

Computed, not measured: Al2FeCo after structural relaxation at the PBE level of DFT.

Results
**SG**: P4/mmm (123)

Cell lengths 2.864, 2.864, 5.734 Å; angles 90.00, 90.00, 90.00 degrees
Positions (direct):
1 Fe 0.500 0.500 0.500
2 Al 0.000 0.000 0.250
3 Al 0.000 0.000 0.750
4 Co 0.500 0.500 0.000

---

Computed, not measured: Al2FeCo after structural relaxation at the PBE level of DFT.

Results
**SG**: Fm-3m (225)

Cell lengths 4.047, 4.047, 4.047 Å; angles 60.00, 60.00, 60.00 degrees
Positions (direct):
1 Fe 0.000 0.000 0.000
2 Al 0.750 0.750 0.750
3 Al 0.250 0.250 0.250
4 Co 0.500 0.500 0.500

---

Number 1: energy of formation from the pure elements -0.635 eV per atom. Number 2: energy of formation from the pure elements -0.472 eV per atom. Number 3: energy of formation from the pure elements -0.474 eV per atom.